The following is a DFT calculation (r²SCAN) of a geometry-optimized Mg2GeS4 structure.

Cell: 12.825 7.459 6.024 Å, 90.00 90.00 90.00°
Element x y z (fractional)
Mg  0.000  0.000  0.000
Mg  0.000  0.500  0.000
Mg  0.230  0.250  0.496
Mg  0.270  0.750  0.996
Mg  0.500  0.000  0.500
Mg  0.500  0.500  0.500
Mg  0.730  0.250  0.004
Mg  0.770  0.750  0.504
Ge  0.089  0.750  0.413
Ge  0.411  0.250  0.913
Ge  0.589  0.750  0.087
Ge  0.911  0.250  0.587
S  0.068  0.250  0.744
S  0.093  0.750  0.776
S  0.167  0.518  0.250
S  0.167  0.982  0.250
S  0.333  0.018  0.750
S  0.333  0.482  0.750
S  0.407  0.250  0.276
S  0.432  0.750  0.244
S  0.568  0.250  0.756
S  0.593  0.750  0.724
S  0.667  0.518  0.250
S  0.667  0.982  0.250
S  0.833  0.018  0.750
S  0.833  0.482  0.750
S  0.907  0.250  0.224
S  0.932  0.750  0.256

Computed properties:
- E_form: -8.08 eV per formula unit
- Volume: 576.2 Å³/cell



The following is a DFT calculation (r²SCAN) of a geometry-optimized Li5SbO5 structure.

Cell: 5.224 5.224 5.782 Å, 107.42 107.42 45.06°
Element x y z (fractional)
Li  0.000  0.000  0.000
Li  0.287  0.287  0.156
Li  0.311  0.311  0.641
Li  0.689  0.689  0.359
Li  0.713  0.713  0.844
Sb  0.000  0.000  0.500
O  0.145  0.145  0.326
O  0.158  0.158  0.818
O  0.500  0.500  0.500
O  0.842  0.842  0.182
O  0.855  0.855  0.674

Computed properties:
- E_form: -23.01 eV per formula unit
- Volume: 105.7 Å³/cell